VASP calculation (r2SCAN) on a relaxed structure of Zn2PtO4.

Structure (extended XYZ):
```
14
Lattice="6.0794 0.0365 0.1054 3.0713 5.3197 0.0000 3.1363 1.7357 4.9115" Properties=species:S:1:pos:R:3 pbc="T T T"
Zn 9.0691 1.8569 4.8971
Zn 4.6397 4.4142 3.0829
Zn 3.2184 1.6883 1.3740
Zn 6.1113 3.5646 0.6798
Pt 7.6794 4.4325 3.1355
Pt 6.1437 1.7726 3.1355
O 10.5911 6.1678 4.3051
O 4.7677 2.6972 1.9660
O 7.7696 6.1537 4.2252
O 9.1681 3.7030 4.3051
O 9.1110 5.3792 2.0346
O 7.5893 2.7113 2.0459
O 6.1907 5.1619 1.9660
O 6.2478 3.4858 4.2365
```

Summary:
- Symmetry: No. 74
- Calculated total energy: -14.54 eV per atom
- Volume: 11.22 Å³ per atom

VASP calculation (r2SCAN) on a relaxed structure of TmZn12.

Structure (extended XYZ):
```
13
Lattice="-4.3729 4.3729 2.5458 4.3729 -4.3729 2.5458 4.3729 4.3729 -2.5458" Properties=species:S:1:pos:R:3 pbc="T T T"
Zn 0.0000 1.8839 2.5458
Zn 0.0000 5.6567 0.0000
Zn 0.0000 3.0891 0.0000
Zn 1.8839 0.0000 2.5458
Zn 4.3729 2.4889 0.0000
Zn 2.1864 2.1864 -1.2729
Zn -2.1864 2.1864 1.2729
Zn 2.4889 4.3729 0.0000
Zn 5.6567 0.0000 0.0000
Zn 3.0891 0.0000 0.0000
Zn 2.1864 2.1864 1.2729
Zn 2.1864 -2.1864 1.2729
Tm 0.0000 0.0000 0.0000
```

Summary:
- Symmetry: No. 139
- Calculated total energy: -11.12 eV per atom
- Volume: 14.98 Å³ per atom

VASP calculation (r2SCAN) on a relaxed structure of Dy5NiPb3.

Structure (extended XYZ):
```
18
Lattice="4.5446 -7.8715 0.0000 4.5446 7.8715 0.0000 0.0000 0.0000 6.7022" Properties=species:S:1:pos:R:3 pbc="T T T"
Pb 5.4584 0.0000 5.0267
Pb 2.7292 4.7271 1.6756
Pb 1.8154 -3.1443 5.0267
Pb 2.7292 -4.7271 1.6756
Pb 1.8154 3.1443 5.0267
Pb 3.6308 0.0000 1.6756
Dy 1.0816 -1.8734 1.6756
Dy 6.9260 0.0000 1.6756
Dy 3.4630 5.9980 5.0267
Dy 4.5446 -2.6238 3.3511
Dy 4.5446 2.6238 0.0000
Dy 2.1632 0.0000 5.0267
Dy 4.5446 2.6238 3.3511
Dy 1.0816 1.8734 1.6756
Dy 3.4630 -5.9980 5.0267
Dy 4.5446 -2.6238 0.0000
Ni 0.0000 0.0000 0.0000
Ni 0.0000 0.0000 3.3511
```

Summary:
- Symmetry: No. 193
- Calculated total energy: -38.52 eV per atom
- Volume: 26.64 Å³ per atom